1.
The following is a r2SCAN calculation of SmAl20V2 after structural relaxation, from the Materials Project database.

```
46
Lattice="-4.438 -6.249 6.716 -9.805 1.295 2.456 -6.972 -6.735 -3.143" Properties=species:S:1:pos:R:3 pbc="T T T"
Sm -10.608 -5.845 3.015
Sm -15.912 -8.767 4.522
Al -13.240 -5.200 7.472
Al -7.976 -6.489 -1.443
Al -11.189 -11.012 3.419
Al -10.027 -0.677 2.610
Al -15.074 -5.552 0.335
Al -6.142 -6.137 5.694
Al -6.308 -2.676 3.207
Al -4.300 -3.168 -0.192
Al -5.526 -4.893 1.661
Al -5.082 -0.952 1.353
Al -7.007 -2.811 0.486
Al -3.601 -3.034 2.529
Al -7.538 -5.179 3.613
Al -12.714 -6.746 0.784
Al -13.465 -4.618 2.268
Al -8.715 -6.835 5.394
Al -8.221 -5.310 0.954
Al -12.782 -4.486 4.927
Al -11.359 -6.486 6.056
Al -10.070 -7.095 0.121
Al -8.985 -3.144 2.464
Al -10.595 -8.652 4.546
Al -11.267 -8.781 1.933
Al -11.585 -2.801 3.115
Al -18.981 -9.433 3.923
Al -13.806 -7.865 6.753
Al -13.055 -9.994 5.268
Al -17.805 -7.776 2.143
Al -18.298 -9.301 6.582
Al -13.738 -10.125 2.610
Al -15.161 -8.125 1.481
Al -16.450 -7.516 7.415
Al -17.534 -11.467 5.072
Al -15.925 -5.960 2.991
Al -15.253 -5.831 5.604
Al -14.935 -11.810 4.421
Al -11.041 -4.181 0.410
Al -8.357 -7.953 2.540
Al -9.774 -3.938 5.340
Al -13.260 -7.306 3.768
V -4.871 -4.585 4.112
V -7.555 -0.814 1.982
V -6.138 -4.829 -0.818
V -2.652 -1.461 0.754
```

SG: Fd-3m (227)
Calculated total energy: -8.59 eV per atom
ΔH_f (0 K): -223 meV/atom
Calculated volume: 16.27 Å³ per atom
Crystal system: cubic

2.
The following is a r2SCAN calculation of CeNi2P2 after structural relaxation, from the Materials Project database.

```
5
Lattice="3.670 0.000 -1.410 -0.542 3.630 -1.410 -0.018 -0.021 5.434" Properties=species:S:1:pos:R:3 pbc="T T T"
Ce 0.000 0.000 0.000
Ni 2.608 0.897 1.307
Ni 0.502 2.712 1.307
P 1.155 1.340 3.007
P 1.955 2.268 -0.393
```

SG: I4/mmm (139)
Calculated total energy: -15.61 eV per atom
ΔH_f (0 K): -1044 meV/atom
Calculated volume: 14.44 Å³ per atom
Crystal system: tetragonal

3.
The following is a r2SCAN calculation of HoH3 after structural relaxation, from the Materials Project database.

```
24
Lattice="6.264 0.000 0.000 -3.132 5.425 0.000 0.000 0.000 6.539" Properties=species:S:1:pos:R:3 pbc="T T T"
Ho 1.019 5.425 1.635
Ho 1.056 1.830 1.635
Ho 4.189 3.595 1.635
Ho 2.076 3.595 4.904
Ho -1.056 1.830 4.904
Ho 2.113 0.000 4.904
H -1.026 5.252 2.679
H 1.929 3.688 2.679
H -0.903 1.911 2.679
H 0.903 1.911 5.948
H -1.929 3.688 5.948
H 1.026 5.252 5.948
H 4.158 0.173 3.860
H 1.203 1.737 3.860
H 4.035 3.515 3.860
H 2.229 3.515 0.591
H 5.061 1.737 0.591
H 2.106 0.173 0.591
H 3.132 1.808 2.043
H 3.132 1.808 5.312
H 0.000 3.617 4.495
H 0.000 3.617 1.226
H 6.264 0.000 1.635
H 0.000 0.000 4.904
```

SG: P-3c1 (165)
Calculated total energy: -11.53 eV per atom
ΔH_f (0 K): -722 meV/atom
Calculated volume: 9.26 Å³ per atom
Crystal system: trigonal